## w
Entry from Materials Project: an optimized crystal structure of ZrCrAgS4 (GGA-PBE).

Lattice parameters (Å, degrees): 11.374 3.619 13.214 90.00 90.00 90.00
Sites, in units of the cell vectors:
Ag (0.254, 0.750, 0.815)
Ag (0.246, 0.250, 0.315)
Ag (0.750, 0.250, 0.163)
Ag (0.750, 0.750, 0.663)
Cr (0.437, 0.750, 0.611)
Cr (0.095, 0.250, 0.595)
Cr (0.063, 0.250, 0.111)
Cr (0.405, 0.750, 0.095)
S (0.400, 0.750, 0.434)
S (0.615, 0.750, 0.044)
S (0.795, 0.250, 0.840)
S (0.048, 0.750, 0.709)
S (0.200, 0.750, 0.153)
S (0.885, 0.250, 0.544)
S (0.516, 0.750, 0.785)
S (0.366, 0.250, 0.980)
S (0.580, 0.250, 0.577)
S (0.300, 0.250, 0.653)
S (0.452, 0.250, 0.209)
S (0.705, 0.750, 0.340)
S (0.920, 0.750, 0.077)
S (0.984, 0.250, 0.285)
S (0.100, 0.250, 0.934)
S (0.134, 0.750, 0.480)
Zr (0.928, 0.750, 0.411)
Zr (0.548, 0.250, 0.384)
Zr (0.952, 0.750, 0.884)
Zr (0.572, 0.250, 0.911)

Its total magnetic moment is 3.0 μB/f.u. As for the volume: 543.9 Å³ per cell. Its density is 4633 kg/m3. Its crystal system is orthorhombic.

***

## x
Entry from Materials Project: an optimized crystal structure of ZrCrAgS4 (GGA-PBE).

Lattice parameters (Å, degrees): 14.049 3.634 6.142 90.00 113.96 90.00
Sites, in units of the cell vectors:
S (0.131, 0.500, 0.964)
S (0.642, 0.500, 0.467)
S (0.153, 0.000, 0.518)
S (0.358, 0.500, 0.533)
S (0.634, 0.000, 0.987)
S (0.366, 0.000, 0.013)
S (0.847, 0.000, 0.482)
S (0.869, 0.500, 0.036)
Ag (0.500, 0.000, 0.500)
Ag (0.000, 0.500, 0.500)
Cr (0.256, 0.500, 0.771)
Cr (0.744, 0.500, 0.229)
Zr (0.753, 0.000, 0.773)
Zr (0.247, 0.000, 0.227)

Its total magnetic moment is 3.0 μB/f.u. As for the volume: 286.5 Å³ per cell. Its density is 4397 kg/m3. Its crystal system is monoclinic.

***

## y
Entry from Materials Project: an optimized crystal structure of ZrCrAgS4 (GGA-PBE).

Lattice parameters (Å, degrees): 7.170 13.280 6.167 90.14 90.07 89.88
Sites, in units of the cell vectors:
S (0.501, 0.142, 0.682)
S (0.986, 0.648, 0.316)
S (0.765, 0.858, 0.181)
S (0.240, 0.860, 0.154)
S (0.511, 0.642, 0.348)
S (0.510, 0.856, 0.659)
S (0.250, 0.144, 0.147)
S (0.999, 0.357, 0.319)
S (0.499, 0.360, 0.322)
S (0.251, 0.356, 0.851)
S (0.980, 0.857, 0.677)
S (0.767, 0.643, 0.814)
S (0.001, 0.140, 0.678)
S (0.750, 0.144, 0.147)
S (0.240, 0.641, 0.843)
S (0.748, 0.356, 0.851)
Zr (0.749, 0.249, 0.499)
Zr (0.518, 0.746, 0.002)
Zr (0.251, 0.249, 0.500)
Zr (0.231, 0.753, 0.502)
Ag (0.504, 0.994, 0.980)
Ag (0.500, 0.496, 0.661)
Ag (0.002, 0.004, 0.349)
Ag (0.995, 0.500, 0.023)
Cr (0.752, 0.751, 0.497)
Cr (0.500, 0.253, 0.001)
Cr (0.999, 0.754, 0.998)
Cr (0.000, 0.247, 0.999)

Its total magnetic moment is 3.0 μB/f.u. As for the volume: 587.2 Å³ per cell. Its density is 4291 kg/m3. Its crystal system is triclinic.

***

Result of the stability comparison: x is the most stable of them.

***

## w
Entry from Materials Project: an optimized crystal structure of ZrCrAgS4 (GGA-PBE).

Lattice parameters (Å, degrees): 12.075 3.614 12.472 90.00 90.00 90.00
Sites, in units of the cell vectors:
S (0.231, 0.750, 0.030)
S (0.301, 0.750, 0.750)
S (0.456, 0.250, 0.116)
S (0.473, 0.750, 0.389)
S (0.801, 0.750, 0.750)
S (0.973, 0.750, 0.111)
S (0.699, 0.250, 0.250)
S (0.527, 0.250, 0.611)
S (0.769, 0.250, 0.970)
S (0.044, 0.750, 0.616)
S (0.731, 0.750, 0.470)
S (0.027, 0.250, 0.889)
S (0.269, 0.250, 0.530)
S (0.544, 0.750, 0.884)
S (0.199, 0.250, 0.250)
S (0.956, 0.250, 0.384)
Zr (0.849, 0.750, 0.289)
Zr (0.349, 0.750, 0.211)
Zr (0.651, 0.250, 0.789)
Zr (0.151, 0.250, 0.711)
Cr (0.608, 0.250, 0.428)
Cr (0.392, 0.750, 0.572)
Cr (0.892, 0.750, 0.928)
Cr (0.108, 0.250, 0.072)
Ag (0.862, 0.250, 0.587)
Ag (0.138, 0.750, 0.413)
Ag (0.362, 0.250, 0.913)
Ag (0.638, 0.750, 0.087)

Its total magnetic moment is 3.0 μB/f.u. As for the volume: 544.2 Å³ per cell. Its density is 4630 kg/m3. Its crystal system is orthorhombic.

***

## x
Entry from Materials Project: an optimized crystal structure of ZrCrAgS4 (GGA-PBE).

Lattice parameters (Å, degrees): 6.667 7.811 12.711 82.06 84.70 89.94
Sites, in units of the cell vectors:
Zr (0.854, 0.283, 0.306)
Zr (0.147, 0.706, 0.698)
Zr (0.764, 0.109, 0.998)
Zr (0.366, 0.566, 0.296)
Cr (0.243, 0.886, 0.998)
Cr (0.377, 0.045, 0.290)
Cr (0.639, 0.445, 0.704)
Cr (0.634, 0.953, 0.705)
S (0.377, 0.624, 0.104)
S (0.339, 0.968, 0.629)
S (0.689, 0.528, 0.376)
S (0.205, 0.277, 0.361)
S (0.922, 0.856, 0.098)
S (0.336, 0.465, 0.636)
S (0.767, 0.214, 0.640)
S (0.123, 0.675, 0.888)
S (0.569, 0.921, 0.884)
S (0.629, 0.393, 0.879)
S (0.661, 0.029, 0.382)
S (0.860, 0.338, 0.116)
S (0.791, 0.712, 0.647)
S (0.396, 0.065, 0.109)
S (0.207, 0.798, 0.377)
S (0.105, 0.131, 0.899)
Ag (0.265, 0.373, 0.992)
Ag (0.745, 0.635, 0.995)
Ag (0.116, 0.201, 0.697)
Ag (0.874, 0.805, 0.297)

Its total magnetic moment is 3.0 μB/f.u. As for the volume: 652.7 Å³ per cell. Its density is 3861 kg/m3. Its crystal system is triclinic.

***

## y
Entry from Materials Project: an optimized crystal structure of ZrCrAgS4 (GGA-PBE).

Lattice parameters (Å, degrees): 14.075 3.604 6.193 90.00 115.11 90.00
Sites, in units of the cell vectors:
S (0.869, 0.000, 0.528)
S (0.156, 0.000, 0.497)
S (0.344, 0.500, 0.503)
S (0.873, 0.500, 0.036)
S (0.627, 0.000, 0.964)
S (0.631, 0.500, 0.472)
S (0.145, 0.500, 0.979)
S (0.355, 0.000, 0.021)
Zr (0.745, 0.500, 0.243)
Zr (0.755, 0.000, 0.757)
Ag (0.017, 0.500, 0.513)
Ag (0.483, 0.000, 0.487)
Cr (0.242, 0.000, 0.227)
Cr (0.258, 0.500, 0.773)

Its total magnetic moment is 2.8 μB/f.u. As for the volume: 284.5 Å³ per cell. Its density is 4428 kg/m3. Its crystal system is monoclinic.

***

Result of the stability comparison: y is the most stable of them.

***

## w
Entry from Materials Project: an optimized crystal structure of Cs2AgF4 (GGA-PBE).

Lattice parameters (Å, degrees): 7.966 7.966 6.581 90.00 90.00 131.24
Sites, in units of the cell vectors:
F (0.850, 0.150, 0.000)
F (0.237, 0.237, 0.227)
F (0.263, 0.263, 0.727)
F (0.763, 0.763, 0.773)
F (0.737, 0.737, 0.273)
F (0.150, 0.850, 0.000)
F (0.350, 0.650, 0.500)
F (0.650, 0.350, 0.500)
Cs (0.643, 0.357, 0.000)
Cs (0.143, 0.857, 0.500)
Cs (0.357, 0.643, 0.000)
Cs (0.857, 0.143, 0.500)
Ag (0.000, 0.000, 0.000)
Ag (0.500, 0.500, 0.500)

As for the volume: 314.0 Å³ per cell. Its density is 4756 kg/m3. Its crystal system is orthorhombic.

***

## x
Entry from Materials Project: an optimized crystal structure of Cs2AgF4 (GGA-PBE).

Lattice parameters (Å, degrees): 4.573 4.573 8.039 106.53 106.53 90.00
Sites, in units of the cell vectors:
F (0.500, 0.000, 0.000)
F (0.150, 0.150, 0.300)
F (0.000, 0.500, 0.000)
F (0.850, 0.850, 0.700)
Ag (0.000, 0.000, 0.000)
Cs (0.644, 0.644, 0.287)
Cs (0.356, 0.356, 0.713)

As for the volume: 153.9 Å³ per cell. Its density is 4852 kg/m3. Its crystal system is tetragonal.

***

Result of the stability comparison: w is the most stable of them.

***

## w
Entry from Materials Project: an optimized crystal structure of CuAgF3 (GGA-PBE).

Lattice parameters (Å, degrees): 5.621 5.621 5.621 60.80 60.80 60.80
Sites, in units of the cell vectors:
Ag (0.750, 0.750, 0.750)
Ag (0.250, 0.250, 0.250)
F (0.750, 0.319, 0.181)
F (0.681, 0.819, 0.250)
F (0.250, 0.681, 0.819)
F (0.319, 0.181, 0.750)
F (0.181, 0.750, 0.319)
F (0.819, 0.250, 0.681)
Cu (0.000, 0.000, 0.000)
Cu (0.500, 0.500, 0.500)

As for the volume: 127.8 Å³ per cell. Its density is 5934 kg/m3. Its crystal system is trigonal.

***

## x
Entry from Materials Project: an optimized crystal structure of CuAgF3 (GGA-PBE).

Lattice parameters (Å, degrees): 4.008 4.008 4.008 90.00 90.00 90.00
Sites, in units of the cell vectors:
Ag (0.500, 0.500, 0.500)
F (0.000, 0.500, 0.000)
F (0.500, 0.000, 0.000)
F (0.000, 0.000, 0.500)
Cu (0.000, 0.000, 0.000)

Its total magnetic moment is 0.8 μB/f.u. As for the volume: 64.4 Å³ per cell. Its density is 5889 kg/m3. Its crystal system is cubic.

***

Result of the stability comparison: w is the most stable of them.

***

## w
Entry from Materials Project: an optimized crystal structure of MgCu4Ag2P2S8 (GGA-PBE).

Lattice parameters (Å, degrees): 6.144 7.396 7.428 90.00 90.00 90.55
Sites, in units of the cell vectors:
S (0.899, 0.405, 0.000)
S (0.862, 0.223, 0.500)
S (0.393, 0.142, 0.268)
S (0.372, 0.705, 0.500)
S (0.393, 0.142, 0.732)
S (0.866, 0.805, 0.772)
S (0.335, 0.695, 0.000)
S (0.866, 0.805, 0.228)
Ag (0.016, 0.546, 0.500)
Ag (0.473, 0.369, 0.000)
Cu (0.498, 0.829, 0.240)
Cu (0.061, 0.276, 0.759)
Cu (0.061, 0.276, 0.241)
Cu (0.498, 0.829, 0.760)
Mg (0.126, 0.952, 0.500)
P (0.994, 0.686, 0.000)
P (0.511, 0.294, 0.500)

Its total magnetic moment is 0.0 μB/f.u. As for the volume: 337.5 Å³ per cell. Its density is 3998 kg/m3. Its crystal system is monoclinic.

***

## x
Entry from Materials Project: an optimized crystal structure of MgCu4Ag2P2S8 (GGA-PBE).

Lattice parameters (Å, degrees): 6.415 6.562 8.041 90.00 90.00 94.57
Sites, in units of the cell vectors:
Cu (0.997, 0.170, 0.750)
Cu (0.523, 0.907, 0.172)
Cu (0.523, 0.907, 0.828)
Cu (0.997, 0.170, 0.250)
P (0.487, 0.322, 0.500)
P (0.053, 0.661, 0.000)
S (0.955, 0.343, 0.000)
S (0.357, 0.164, 0.713)
S (0.853, 0.843, 0.753)
S (0.357, 0.164, 0.287)
S (0.388, 0.657, 0.000)
S (0.853, 0.843, 0.247)
S (0.813, 0.292, 0.500)
S (0.387, 0.608, 0.500)
Mg (0.661, 0.909, 0.500)
Ag (0.007, 0.656, 0.500)
Ag (0.555, 0.310, 0.000)

Its total magnetic moment is 0.0 μB/f.u. As for the volume: 337.4 Å³ per cell. Its density is 3999 kg/m3. Its crystal system is monoclinic.

***

Result of the stability comparison: w is the most stable of them.

***

## w
Entry from Materials Project: an optimized crystal structure of InAg3F6 (GGA-PBE).

Lattice parameters (Å, degrees): 6.053 6.144 8.681 90.00 90.64 90.00
Sites, in units of the cell vectors:
Ag (0.500, 0.500, 0.000)
Ag (0.015, 0.442, 0.744)
Ag (0.985, 0.558, 0.256)
Ag (0.515, 0.058, 0.244)
Ag (0.000, 0.000, 0.500)
Ag (0.485, 0.942, 0.756)
F (0.290, 0.172, 0.942)
F (0.341, 0.214, 0.577)
F (0.841, 0.286, 0.077)
F (0.374, 0.432, 0.275)
F (0.659, 0.786, 0.423)
F (0.790, 0.328, 0.442)
F (0.159, 0.714, 0.923)
F (0.126, 0.932, 0.225)
F (0.874, 0.068, 0.775)
F (0.626, 0.568, 0.725)
F (0.710, 0.828, 0.058)
F (0.210, 0.672, 0.558)
In (0.500, 0.500, 0.500)
In (0.000, 0.000, 0.000)

Its total magnetic moment is 0.0 μB/f.u. As for the volume: 322.8 Å³ per cell. Its density is 5683 kg/m3. Its crystal system is monoclinic.

***

## x
Entry from Materials Project: an optimized crystal structure of InAg3F6 (GGA-PBE).

Lattice parameters (Å, degrees): 6.269 6.269 6.269 60.00 60.00 60.00
Sites, in units of the cell vectors:
F (0.764, 0.236, 0.236)
F (0.764, 0.236, 0.764)
F (0.236, 0.764, 0.236)
F (0.764, 0.764, 0.236)
F (0.236, 0.236, 0.764)
F (0.236, 0.764, 0.764)
In (0.000, 0.000, 0.000)
Ag (0.750, 0.750, 0.750)
Ag (0.500, 0.500, 0.500)
Ag (0.250, 0.250, 0.250)

Its total magnetic moment is 0.0 μB/f.u. As for the volume: 174.2 Å³ per cell. Its density is 5266 kg/m3. Its crystal system is cubic.

***

Result of the stability comparison: w is the most stable of them.

***

## w
Entry from Materials Project: an optimized crystal structure of K2AgF4 (GGA-PBE).

Lattice parameters (Å, degrees): 10.443 3.834 6.508 87.20 90.00 90.00
Sites, in units of the cell vectors:
F (0.553, 0.597, 0.725)
F (0.947, 0.597, 0.225)
F (0.053, 0.403, 0.775)
F (0.189, 0.983, 0.124)
F (0.689, 0.017, 0.376)
F (0.447, 0.403, 0.275)
F (0.311, 0.983, 0.624)
F (0.811, 0.017, 0.876)
Ag (0.500, 0.000, 0.500)
Ag (0.000, 0.000, 0.000)
K (0.817, 0.521, 0.584)
K (0.183, 0.479, 0.416)
K (0.683, 0.521, 0.084)
K (0.317, 0.479, 0.916)

As for the volume: 260.3 Å³ per cell. Its density is 3344 kg/m3. Its crystal system is monoclinic.

***

## x
Entry from Materials Project: an optimized crystal structure of K2AgF4 (GGA-PBE).

Lattice parameters (Å, degrees): 6.163 6.483 7.198 90.00 115.35 90.00
Sites, in units of the cell vectors:
F (0.724, 0.250, 0.948)
F (0.224, 0.250, 0.948)
F (0.776, 0.750, 0.052)
F (0.837, 0.929, 0.674)
F (0.276, 0.750, 0.052)
F (0.663, 0.429, 0.326)
F (0.337, 0.571, 0.674)
F (0.163, 0.071, 0.326)
K (0.857, 0.520, 0.715)
K (0.143, 0.480, 0.285)
K (0.357, 0.980, 0.715)
K (0.643, 0.020, 0.285)
Ag (0.000, 0.000, 0.000)
Ag (0.500, 0.500, 0.000)

Its total magnetic moment is 0.8 μB/f.u. As for the volume: 259.9 Å³ per cell. Its density is 3349 kg/m3. Its crystal system is orthorhombic.

***

Result of the stability comparison: w is the most stable of them.